[1]
# SnAs2O7

A geometry-optimized SnAs2O7 structure (PBE, Materials Project).

Results
DFT total energy, eV per atom: -5.9474

a b c (Å): 7.2787 9.3214 9.7474
angles (deg): 90.00 106.35 90.00
Closest atoms and distances in Å follow each position.
Fractional coordinates of all 40 atoms:
1 Sn 0.1889 0.0707 0.2870  5 O 2.02-2.06
2 Sn 0.1889 0.4293 0.7870  5 O 2.02-2.06
3 Sn 0.8111 0.5707 0.2130  5 O 2.02-2.06
4 Sn 0.8111 0.9293 0.7130  5 O 2.02-2.06
5 As 0.0362 0.7071 0.9671  4 O 1.72-1.74
6 As 0.0362 0.7929 0.4671  4 O 1.72-1.74
7 As 0.4137 0.7498 0.2537  3 O 1.64-1.75
8 As 0.4137 0.7502 0.7537  3 O 1.64-1.75
9 As 0.5863 0.2498 0.2463  3 O 1.64-1.75
10 As 0.5863 0.2502 0.7463  3 O 1.64-1.75
11 As 0.9638 0.2071 0.5329  4 O 1.72-1.74
12 As 0.9638 0.2929 0.0329  4 O 1.72-1.74
13 O 0.0038 0.6207 0.4018  1 As 1.72
14 O 0.0038 0.8793 0.9018  1 As 1.72
15 O 0.0189 0.5926 0.8261  1 As 1.72
16 O 0.0189 0.9074 0.3261  1 As 1.72
17 O 0.1483 0.1818 0.4570  1 As 1.72
18 O 0.1483 0.3182 0.9570  1 As 1.72
19 O 0.2504 0.6653 0.0942  2 As 1.74-1.85
20 O 0.2504 0.8347 0.5942  2 As 1.74-1.85
21 O 0.3710 0.2359 0.2869  1 As 1.73
22 O 0.3710 0.2641 0.7869  1 As 1.73
23 O 0.3721 0.5658 0.7330  1 As 1.75
24 O 0.3721 0.9342 0.2330  1 As 1.75
25 O 0.3811 0.6728 0.3963  1 As 1.64
26 O 0.3811 0.8272 0.8963  1 As 1.64
27 O 0.6189 0.1728 0.1037  1 As 1.64
28 O 0.6189 0.3272 0.6037  1 As 1.64
29 O 0.6279 0.0658 0.7670  1 As 1.75
30 O 0.6279 0.4342 0.2670  1 As 1.75
31 O 0.6290 0.7359 0.2131  1 As 1.73
32 O 0.6290 0.7641 0.7131  1 As 1.73
33 O 0.7496 0.1653 0.4058  2 As 1.74-1.85
34 O 0.7496 0.3347 0.9058  2 As 1.74-1.85
35 O 0.8517 0.6818 0.0430  1 As 1.72
36 O 0.8517 0.8182 0.5430  1 As 1.72
37 O 0.9811 0.0926 0.6739  1 As 1.72
38 O 0.9811 0.4074 0.1739  1 As 1.72
39 O 0.9962 0.1207 0.0982  1 As 1.72
40 O 0.9962 0.3793 0.5982  1 As 1.72


[2]
# SnAsO4

A geometry-optimized SnAsO4 structure (PBE, Materials Project).

Results
DFT total energy, eV per atom: -5.8927

a b c (Å): 4.6082 15.6064 5.2246
angles (deg): 90.00 92.66 90.00
Closest atoms and distances in Å follow each position.
Fractional coordinates of all 24 atoms:
1 Sn 0.0740 0.1684 0.4211  6 O 2.24-2.31
2 Sn 0.0740 0.3316 0.9211  6 O 2.24-2.31
3 Sn 0.9260 0.6684 0.0789  6 O 2.24-2.31
4 Sn 0.9260 0.8316 0.5789  6 O 2.24-2.31
5 As 0.4252 0.6486 0.5798  4 O 1.72-1.78
6 As 0.4252 0.8514 0.0798  4 O 1.72-1.78
7 As 0.5748 0.1486 0.9202  4 O 1.72-1.78
8 As 0.5748 0.3514 0.4202  4 O 1.72-1.78
9 O 0.1740 0.7136 0.7411  1 As 1.78
10 O 0.1740 0.7864 0.2411  1 As 1.78
11 O 0.2320 0.5950 0.3410  1 As 1.72
12 O 0.2320 0.9050 0.8410  1 As 1.72
13 O 0.3150 0.2115 0.0780  1 As 1.78
14 O 0.3150 0.2885 0.5780  1 As 1.78
15 O 0.3869 0.0944 0.6773  1 As 1.72
16 O 0.3869 0.4056 0.1773  1 As 1.72
17 O 0.6131 0.5944 0.8227  1 As 1.72
18 O 0.6131 0.9056 0.3227  1 As 1.72
19 O 0.6850 0.7115 0.4220  1 As 1.78
20 O 0.6850 0.7885 0.9220  1 As 1.78
21 O 0.7680 0.0950 0.1590  1 As 1.72
22 O 0.7680 0.4050 0.6590  1 As 1.72
23 O 0.8260 0.2136 0.7589  1 As 1.78
24 O 0.8260 0.2864 0.2589  1 As 1.78


[3]
# SnAs2O9

A geometry-optimized SnAs2O9 structure (PBE, Materials Project).

Results
DFT total energy, eV per atom: -5.7782
Energy above the lowest structure with this stoichiometry, eV per formula unit: 1.169

a b c (Å): 8.5330 5.7038 19.0468
angles (deg): 90.00 111.52 90.00
Closest atoms and distances in Å follow each position.
Fractional coordinates of all 48 atoms:
1 Sn 0.2480 0.2412 0.4769  5 O 2.02-2.10
2 Sn 0.2480 0.2588 0.9769  5 O 2.02-2.10
3 Sn 0.7520 0.7412 0.0231  5 O 2.02-2.10
4 Sn 0.7520 0.7588 0.5231  5 O 2.02-2.10
5 As 0.0802 0.7366 0.9464  4 O 1.70-1.82
6 As 0.0802 0.7634 0.4464  4 O 1.70-1.82
7 As 0.4458 0.6926 0.5987  3 O 1.63-1.74
8 As 0.4458 0.8074 0.0987  3 O 1.63-1.74
9 As 0.5542 0.1926 0.9013  3 O 1.63-1.74
10 As 0.5542 0.3074 0.4013  3 O 1.63-1.74
11 As 0.9198 0.2366 0.5536  4 O 1.70-1.82
12 As 0.9198 0.2634 0.0536  4 O 1.70-1.82
13 O 0.0634 0.0281 0.4015  1 As 1.71
14 O 0.0634 0.4719 0.9015  1 As 1.71
15 O 0.1012 0.1869 0.0416  1 As 1.70
16 O 0.1012 0.3131 0.5416  1 As 1.70
17 O 0.1512 0.5323 0.4097  1 As 1.70
18 O 0.1512 0.9677 0.9097  1 As 1.70
19 O 0.1578 0.2080 0.2185  1 O 1.23
20 O 0.1578 0.2920 0.7185  1 O 1.23
21 O 0.2151 0.0081 0.2326  1 O 1.23
22 O 0.2151 0.4919 0.7326  1 O 1.23
23 O 0.2550 0.6384 0.0299  2 As 1.82-1.93
24 O 0.2550 0.8616 0.5299  2 As 1.82-1.93
25 O 0.4052 0.1479 0.4240  1 As 1.74
26 O 0.4052 0.3521 0.9240  1 As 1.74
27 O 0.4336 0.0882 0.0611  1 As 1.74
28 O 0.4336 0.4118 0.5611  1 As 1.74
29 O 0.4503 0.7296 0.6842  1 As 1.63
30 O 0.4503 0.7704 0.1842  1 As 1.63
31 O 0.5497 0.2296 0.8158  1 As 1.63
32 O 0.5497 0.2704 0.3158  1 As 1.63
33 O 0.5664 0.5882 0.4389  1 As 1.74
34 O 0.5664 0.9118 0.9389  1 As 1.74
35 O 0.5948 0.6479 0.0760  1 As 1.74
36 O 0.5948 0.8521 0.5760  1 As 1.74
37 O 0.7450 0.1384 0.4701  2 As 1.82-1.93
38 O 0.7450 0.3616 0.9701  2 As 1.82-1.93
39 O 0.7849 0.5081 0.2674  1 O 1.23
40 O 0.7849 0.9919 0.7674  1 O 1.23
41 O 0.8422 0.7080 0.2815  1 O 1.23
42 O 0.8422 0.7920 0.7815  1 O 1.23
43 O 0.8488 0.0323 0.0903  1 As 1.70
44 O 0.8488 0.4677 0.5903  1 As 1.70
45 O 0.8988 0.6869 0.4584  1 As 1.70
46 O 0.8988 0.8131 0.9584  1 As 1.70
47 O 0.9366 0.5281 0.0985  1 As 1.71
48 O 0.9366 0.9719 0.5985  1 As 1.71


[4]
# ZnSnAsO5

A geometry-optimized ZnSnAsO5 structure (PBE, Materials Project).

Results
DFT total energy, eV per atom: -5.6256

a b c (Å): 6.8634 8.7055 8.0400
angles (deg): 90.00 93.17 90.00
Closest atoms and distances in Å follow each position.
Fractional coordinates of all 32 atoms:
1 Zn 0.2222 0.0000 0.3080  2 O 1.91-2.00
2 Zn 0.2458 0.1194 0.7794  2 O 1.90-1.95
3 Zn 0.7542 0.6194 0.2206  2 O 1.90-1.95
4 Zn 0.7778 0.5000 0.6920  2 O 1.91-2.00
5 Sn 0.0079 0.8129 0.7471  6 O 2.01-2.21
6 Sn 0.4896 0.3052 0.2442  5 O 2.27-2.47
7 Sn 0.5104 0.8052 0.7558  5 O 2.27-2.47
8 Sn 0.9921 0.3129 0.2529  6 O 2.01-2.21
9 As 0.2380 0.6627 0.1293  4 O 1.70-1.75
10 As 0.2607 0.4604 0.6239  4 O 1.71-1.75
11 As 0.7393 0.9604 0.3761  4 O 1.71-1.75
12 As 0.7620 0.1627 0.8707  4 O 1.70-1.75
13 O 0.0408 0.5348 0.1318  1 As 1.75
14 O 0.0642 0.5878 0.6310  1 As 1.75
15 O 0.2067 0.1854 0.1616  1 Zn 2.00, 1 Sn 2.01
16 O 0.2147 0.9370 0.6392  1 Zn 1.95, 1 Sn 2.02
17 O 0.2216 0.7813 0.2962  1 As 1.70
18 O 0.2236 0.7656 0.9429  1 As 1.74
19 O 0.2322 0.3591 0.4360  1 As 1.75
20 O 0.2523 0.3375 0.7884  1 As 1.71, 1 Zn 1.90
21 O 0.4580 0.5649 0.1353  1 As 1.73
22 O 0.4800 0.5568 0.6231  1 As 1.72
23 O 0.5200 0.0568 0.3769  1 As 1.72
24 O 0.5420 0.0649 0.8647  1 As 1.73
25 O 0.7477 0.8375 0.2116  1 As 1.71, 1 Zn 1.90
26 O 0.7678 0.8591 0.5640  1 As 1.75
27 O 0.7764 0.2656 0.0571  1 As 1.74
28 O 0.7784 0.2813 0.7038  1 As 1.70
29 O 0.7853 0.4370 0.3608  1 Zn 1.95, 1 Sn 2.02
30 O 0.7933 0.6854 0.8384  1 Zn 2.00, 1 Sn 2.01
31 O 0.9358 0.0878 0.3690  1 As 1.75
32 O 0.9592 0.0348 0.8682  1 As 1.75


[5]
# SrAsO3

A geometry-optimized SrAsO3 structure (PBE, Materials Project).

Results
DFT total energy, eV per atom: -6.1028

a b c (Å): 3.9749 3.9749 3.9749
angles (deg): 90.00 90.00 90.00
Closest atoms and distances in Å follow each position.
Fractional coordinates of all 5 atoms:
1 Sr 0.0000 0.0000 0.0000  12 O 2.81
2 As 0.5000 0.5000 0.5000  6 O 1.99
3 O 0.0000 0.5000 0.5000  2 As 1.99
4 O 0.5000 0.0000 0.5000  2 As 1.99
5 O 0.5000 0.5000 0.0000  2 As 1.99


| no. | magnetization (μB per cell) |
| --- | --- |
| 1 | 0.00 |
| 2 | 0.00 |
| 3 | 8.09 |
| 4 | 0.00 |
| 5 | 0.00 |